No. 1
Ca4TeN4 | Materials Project | GGA-PBE | relaxed; E above lowest polymorph = 0.000 eV per atom; energy of formation from the pure elements = -0.91 eV per atom; calculated total energy = -5.6979 eV per atom
1.0
11.889 0.000 0.000
0.000 3.614 0.000
0.000 0.000 16.096
Ca Te N
16 4 16
Direct
0.089 0.250 0.109
0.092 0.750 0.331
0.122 0.250 0.545
0.190 0.750 0.728
0.310 0.250 0.228
0.378 0.750 0.045
0.408 0.250 0.831
0.411 0.750 0.609
0.589 0.250 0.391
0.592 0.750 0.169
0.622 0.250 0.955
0.690 0.750 0.772
0.810 0.250 0.272
0.878 0.750 0.455
0.908 0.250 0.669
0.911 0.750 0.891
0.147 0.250 0.904
0.353 0.750 0.404
0.647 0.250 0.596
0.853 0.750 0.096
0.027 0.250 0.422
0.046 0.750 0.640
0.166 0.750 0.205
0.225 0.750 0.133
0.275 0.250 0.633
0.334 0.250 0.705
0.454 0.250 0.140
0.473 0.750 0.922
0.527 0.250 0.078
0.546 0.750 0.860
0.666 0.750 0.295
0.725 0.750 0.367
0.775 0.250 0.867
0.834 0.250 0.795
0.954 0.250 0.360
0.973 0.750 0.578

---

No. 2
Gd3Zn5Ge | Materials Project | GGA-PBE | relaxed; energy of formation from the pure elements = -0.41 eV per atom; calculated total energy = -6.3116 eV per atom
1.0
7.104 0.000 0.000
-3.552 6.152 0.000
0.000 0.000 4.274
Gd Zn Ge
3 5 1
Direct
0.000 0.578 0.000
0.422 0.422 0.000
0.578 0.000 0.000
0.000 0.245 0.500
0.245 0.000 0.500
0.333 0.667 0.500
0.667 0.333 0.500
0.755 0.755 0.500
0.000 0.000 0.000